a) A relaxed structure of Sc3Ni11Ge4, computed with PBE.

The space group is P6_3/mmc (No. 194) and the conventional cell measures 8.2161, 8.2161 and 8.4311 Å, with angles of 90.00, 90.00 and 120.00 degrees. Symmetry generates all atoms from Sc at (0.1855, 0.3711, 0.2500), Ni at (0.1320, 0.5660, 0.7500), Ni at (0.1610, 0.3219, 0.5899), Ni at (0.3333, 0.6667, 0.0119), Ge at (0.0000, 0.0000, 0.0000) and Ge at (0.0000, 0.5000, 0.0000).

The mass density comes out at 7.22 Mg/m³.

=====

b) A relaxed structure of Sc3Ni11Ge4, computed with PBE.

The space group is P6_3/mmc (No. 194) and the conventional cell measures 8.0742, 8.0742 and 8.4293 Å, with angles of 90.00, 90.00 and 120.00 degrees. Symmetry generates all atoms from Sc at (0.1967, 0.3934, 0.2500), Ni at (0.1281, 0.5641, 0.7500), Ni at (0.1541, 0.3081, 0.5933), Ni at (0.3333, 0.6667, 0.0052), Ge at (0.0000, 0.0000, 0.2500) and Ge at (0.0000, 0.5000, 0.0000).

The mass density comes out at 7.47 Mg/m³.

=====

Most stable pick: a). Distance to second place: 35 meV/atom.

=====

a) A relaxed structure of GeP2O9, computed with PBE.

The space group is P2_1/c (No. 14) and the conventional cell measures 8.4176, 4.8765 and 16.4446 Å, with angles of 90.00, 110.70 and 90.00 degrees. Symmetry generates all atoms from Ge at (0.2461, 0.2436, 0.0002), P at (0.0117, 0.7472, 0.8981), P at (0.4920, 0.7480, 0.6014), O at (0.0576, 0.0440, 0.9301), O at (0.0582, 0.2427, 0.7048), O at (0.1346, 0.1377, 0.5749), O at (0.1420, 0.6504, 0.7480), O at (0.1677, 0.5557, 0.9281), O at (0.3398, 0.5501, 0.5781), O at (0.3671, 0.1301, 0.9281), O at (0.4414, 0.1815, 0.3002) and O at (0.4429, 0.0428, 0.5659).

The mass density comes out at 2.93 Mg/m³.

=====

b) A relaxed structure of GeP2O9, computed with PBE.

The space group is P2_1/c (No. 14) and the conventional cell measures 8.3165, 4.8484 and 15.9596 Å, with angles of 90.00, 109.13 and 90.00 degrees. Symmetry generates all atoms from Ge at (0.2417, 0.2449, 0.4881), P at (0.0020, 0.7383, 0.3912), P at (0.4674, 0.7440, 0.6016), O at (0.0526, 0.0439, 0.4132), O at (0.0907, 0.2104, 0.2111), O at (0.1248, 0.1356, 0.0643), O at (0.1648, 0.5585, 0.4173), O at (0.2491, 0.6507, 0.7394), O at (0.3134, 0.5632, 0.0624), O at (0.3724, 0.1430, 0.4154), O at (0.4318, 0.0536, 0.0657) and O at (0.4978, 0.7367, 0.7039).

The mass density comes out at 3.04 Mg/m³.

=====

Most stable pick: a). Distance to second place: 15 meV/atom.

=====

a) A relaxed structure of GePb3O5, computed with PBE.

The space group is Cmm2 (No. 35) and the conventional cell measures 7.5772, 7.6892 and 5.5009 Å, with angles of 90.00, 90.00 and 90.00 degrees. Symmetry generates all atoms from Ge at (0.0000, 0.0000, 0.0000), Pb at (0.0000, 0.5000, 0.9685), Pb at (0.2500, 0.2500, 0.4952), O at (0.0000, 0.1865, 0.8072), O at (0.0000, 0.5000, 0.5476) and O at (0.1907, 0.0000, 0.1894).

The piezoelectric modulus e_max is 1.363 C/m2. The mass density comes out at 8.02 Mg/m³.

=====

b) A relaxed structure of GePb3O5, computed with PBE.

The space group is P2_1 (No. 4) and the conventional cell measures 5.3964, 10.6345 and 5.6180 Å, with angles of 90.00, 93.28 and 90.00 degrees. Symmetry generates all atoms from Ge at (0.0239, 0.0000, 0.4525), Pb at (0.0245, 0.7580, 0.9521), Pb at (0.4836, 0.2732, 0.4988), Pb at (0.4954, 0.0040, 0.9874), O at (0.0718, 0.1645, 0.4716), O at (0.1628, 0.9382, 0.1941), O at (0.1721, 0.9181, 0.7001), O at (0.3005, 0.4661, 0.5852) and O at (0.3793, 0.3066, 0.0956).

The mass density comes out at 7.99 Mg/m³.

=====

Most stable pick: b). Distance to second place: 90 meV/atom.

=====

a) A relaxed structure of Sr2PrGeO6, computed with PBE.

The space group is Pn-3 (No. 201, origin choice 2) and the conventional cell measures 8.3852, 8.3852 and 8.3852 Å, with angles of 90.00, 90.00 and 90.00 degrees. Symmetry generates all atoms from Sr at (0.2500, 0.2500, 0.2500), Sr at (0.2500, 0.2500, 0.7500), Pr at (0.0000, 0.0000, 0.0000), Ge at (0.0000, 0.0000, 0.5000) and O at (0.0304, 0.5350, 0.7754).

The mass density comes out at 5.46 Mg/m³.

=====

b) A relaxed structure of Sr2PrGeO6, computed with PBE.

The space group is Fm-3m (No. 225) and the conventional cell measures 8.4240, 8.4240 and 8.4240 Å, with angles of 90.00, 90.00 and 90.00 degrees. Symmetry generates all atoms from Sr at (0.2500, 0.2500, 0.2500), Pr at (0.0000, 0.0000, 0.0000), Ge at (0.0000, 0.0000, 0.5000) and O at (0.0000, 0.0000, 0.2743).

The mass density comes out at 5.39 Mg/m³.

=====

Most stable pick: a). Distance to second place: 25 meV/atom.

=====

a) A relaxed structure of Ge2SbO6, computed with PBE.

The space group is C2/c (No. 15) and the conventional cell measures 10.3517, 9.4298 and 5.7451 Å, with angles of 90.00, 108.91 and 90.00 degrees. Symmetry generates all atoms from Ge at (0.2010, 0.0820, 0.2573), Sb at (0.0000, 0.3851, 0.2500), O at (0.1132, 0.4351, 0.6269), O at (0.1384, 0.0255, 0.4940) and O at (0.1442, 0.2576, 0.1905).

The mass density comes out at 4.55 Mg/m³.

=====

b) A relaxed structure of Ge2SbO6, computed with PBE.

The space group is P2_1/c (No. 14) and the conventional cell measures 10.3867, 9.3817 and 5.7108 Å, with angles of 90.00, 105.73 and 90.00 degrees. Symmetry generates all atoms from Ge at (0.0339, 0.1656, 0.1767), Ge at (0.4484, 0.1727, 0.2621), Sb at (0.2585, 0.6332, 0.7473), O at (0.0919, 0.5121, 0.7245), O at (0.0997, 0.2485, 0.4619), O at (0.1481, 0.6928, 0.3972), O at (0.3702, 0.6906, 0.1341), O at (0.3881, 0.0040, 0.1560) and O at (0.3913, 0.2016, 0.5244).

The mass density comes out at 4.50 Mg/m³.

=====

Most stable pick: a). Distance to second place: 16 meV/atom.